(1)
This record from Materials Project describes SnO2 after structural relaxation. The functional is PBE-GGA.

a = 11.2632 Å, b = 11.2593 Å, c = 11.7824 Å
α = 97.06°, β = 92.40°, γ = 91.39°
Positions (direct):
Sn1 0.8324 0.0659 0.3849
Sn2 0.7496 0.9340 0.6346
Sn3 0.8483 0.6805 0.1510
Sn4 0.9517 0.5800 0.5479
Sn5 0.8046 0.3890 0.3088
Sn6 0.6493 0.1355 0.1801
Sn7 0.9502 0.1887 0.1131
Sn8 0.2698 0.2439 0.1171
Sn9 0.2231 0.5869 0.4799
Sn10 0.1461 0.0711 0.3286
Sn11 0.8491 0.7066 0.8134
Sn12 0.6465 0.6302 0.5231
Sn13 0.1082 0.4827 0.2457
Sn14 0.4228 0.3988 0.3959
Sn15 0.0689 0.6289 0.9732
Sn16 0.7055 0.3511 0.9708
Sn17 0.5556 0.7669 0.8370
Sn18 0.4479 0.9402 0.0541
Sn19 0.4558 0.5195 0.7016
Sn20 0.0633 0.8627 0.7219
Sn21 0.4660 0.0268 0.3503
Sn22 0.1581 0.8765 0.4966
Sn23 0.9691 0.3020 0.8448
Sn24 0.1847 0.4092 0.7305
Sn25 0.4084 0.8593 0.6206
Sn26 0.7185 0.9989 0.9377
Sn27 0.6008 0.6132 0.2506
Sn28 0.0072 0.1628 0.6025
Sn29 0.3400 0.1898 0.5893
Sn30 0.0891 0.9765 0.0201
Sn31 0.7801 0.3545 0.6340
Sn32 0.4030 0.5895 0.9762
Sn33 0.2557 0.1241 0.8639
Sn34 0.2250 0.7660 0.1937
O1 0.4457 0.7633 0.9762
O2 0.5469 0.5765 0.8574
O3 0.8311 0.1540 0.2369
O4 0.5853 0.4877 0.3803
O5 0.2575 0.1791 0.2670
O6 0.5230 0.9464 0.8896
O7 0.8824 0.6416 0.9719
O8 0.8237 0.1660 0.5438
O9 0.8983 0.8975 0.3584
O10 0.2403 0.4266 0.3774
O11 0.9681 0.3431 0.6670
O12 0.9586 0.1354 0.7605
O13 0.4248 0.7094 0.7141
O14 0.3621 0.2316 0.9768
O15 0.0954 0.8106 0.0735
O16 0.8419 0.4132 0.4805
O17 0.0588 0.7392 0.5693
O18 0.5639 0.1569 0.6083
O19 0.2830 0.0055 0.0099
O20 0.6550 0.0680 0.3405
O21 0.8229 0.8318 0.2666
O22 0.0096 0.1359 0.4202
O23 0.0469 0.5567 0.4023
O24 0.6595 0.7531 0.6772
O25 0.7763 0.5416 0.2388
O26 0.0159 0.6020 0.1456
O27 0.7119 0.0356 0.7789
O28 0.8117 0.6588 0.4813
O29 0.2553 0.0428 0.4734
O30 0.3841 0.4705 0.2203
O31 0.3532 0.0989 0.7256
O32 0.1702 0.2533 0.5975
O33 0.5744 0.7236 0.3979
O34 0.6412 0.9640 0.0907
O35 0.1350 0.5280 0.6166
O36 0.8973 0.3092 0.0035
O37 0.2955 0.7562 0.4828
O38 0.4251 0.2350 0.4478
O39 0.3648 0.3589 0.6816
O40 0.9016 0.0274 0.0014
O41 0.2419 0.6349 0.0456
O42 0.9667 0.3497 0.2397
O43 0.8617 0.5613 0.6949
O44 0.1116 0.1655 0.0262
O45 0.7256 0.8042 0.9042
O46 0.2317 0.8868 0.6667
O47 0.4692 0.0944 0.1836
O48 0.3111 0.5314 0.8245
O49 0.8849 0.8517 0.7303
O50 0.6582 0.3132 0.2328
O51 0.1458 0.8831 0.3220
O52 0.0596 0.4753 0.8618
O53 0.0408 0.0465 0.1847
O54 0.6733 0.7059 0.1327
O55 0.1587 0.2736 0.8313
O56 0.5025 0.5368 0.1044
O57 0.3962 0.5350 0.5318
O58 0.6211 0.4929 0.6243
O59 0.0386 0.7345 0.8388
O60 0.4153 0.3474 0.2147
O61 0.6892 0.1724 0.0153
O62 0.2242 0.6312 0.2878
O63 0.5968 0.2697 0.6305
O64 0.3742 0.8682 0.1957
O65 0.1702 0.3882 0.1116
O66 0.0315 0.9760 0.5837
O67 0.1194 0.9878 0.8516
O68 0.7862 0.3433 0.8073

Values from the calculation:
- SG = No. 1
- total moment (μB/cell) = 2.000
- energy of formation from the pure elements (eV per atom) = -1.37

***

(2)
This record from Materials Project describes CaMg6Co after structural relaxation. The functional is PBE-GGA.

a = 6.7049 Å, b = 6.7049 Å, c = 4.8838 Å
α = 90.00°, β = 90.00°, γ = 124.77°
Positions (direct):
Mg1 0.1793 0.3368 0.0000
Mg2 0.8184 0.1816 0.5000
Mg3 0.6606 0.3394 0.0000
Mg4 0.7994 0.6829 0.5000
Mg5 0.3171 0.2006 0.5000
Mg6 0.6632 0.8207 0.0000
Co1 0.3666 0.6334 0.5000
Ca1 0.1954 0.8046 0.0000

Values from the calculation:
- SG = No. 38
- total moment (μB/cell) = 1.226
- energy of formation from the pure elements (eV per atom) = 0.15

***

(3)
This record from Materials Project describes Cs6U2Cu12S15 after structural relaxation. The functional is PBE-GGA.

a = 16.6339 Å, b = 16.6339 Å, c = 16.6339 Å
α = 109.47°, β = 109.47°, γ = 109.47°
Positions (direct):
S1 0.4222 0.8309 0.8434
S2 0.8309 0.9874 0.9087
S3 0.7500 0.8750 0.6250
S4 0.8750 0.2500 0.6250
S5 0.8434 0.4213 0.5126
S6 0.0913 0.1691 0.0126
S7 0.3309 0.9222 0.3434
S8 0.8434 0.4222 0.8309
S9 0.0787 0.4222 0.5913
S10 0.4874 0.1566 0.5787
S11 0.1691 0.0126 0.0913
S12 0.1691 0.1566 0.5778
S13 0.7500 0.3750 0.1250
S14 0.0778 0.6566 0.6691
S15 0.0126 0.0913 0.1691
S16 0.2500 0.1250 0.3750
S17 0.6566 0.9874 0.0787
S18 0.5787 0.4874 0.1566
S19 0.4213 0.9087 0.0778
S20 0.4087 0.9213 0.5778
S21 0.1250 0.3750 0.2500
S22 0.6691 0.5913 0.5126
S23 0.3750 0.1250 0.7500
S24 0.0913 0.9222 0.5787
S25 0.5778 0.1691 0.1566
S26 0.9087 0.0778 0.4213
S27 0.9222 0.3434 0.3309
S28 0.9222 0.5787 0.0913
S29 0.5913 0.0787 0.4222
S30 0.2500 0.6250 0.8750
S31 0.9087 0.8309 0.9874
S32 0.5913 0.5126 0.6691
S33 0.3750 0.2500 0.1250
S34 0.4874 0.3309 0.4087
S35 0.8750 0.6250 0.7500
S36 0.6691 0.0778 0.6566
S37 0.6250 0.7500 0.8750
S38 0.8309 0.8434 0.4222
S39 0.5787 0.0913 0.9222
S40 0.0778 0.4213 0.9087
S41 0.4222 0.5913 0.0787
S42 0.0787 0.6566 0.9874
S43 0.4213 0.5126 0.8434
S44 0.1566 0.5778 0.1691
S45 0.3434 0.3309 0.9222
S46 0.5126 0.6691 0.5913
S47 0.4087 0.4874 0.3309
S48 0.0126 0.9213 0.3434
S49 0.9874 0.9087 0.8309
S50 0.5126 0.8434 0.4213
S51 0.6566 0.6691 0.0778
S52 0.9874 0.0787 0.6566
S53 0.6250 0.8750 0.2500
S54 0.1566 0.5787 0.4874
S55 0.3434 0.0126 0.9213
S56 0.5778 0.4087 0.9213
S57 0.9213 0.5778 0.4087
S58 0.3309 0.4087 0.4874
S59 0.9213 0.3434 0.0126
S60 0.1250 0.7500 0.3750
Cs1 0.7500 0.5917 0.9083
Cs2 0.8417 0.1835 0.0917
Cs3 0.6835 0.3417 0.5917
Cs4 0.2500 0.4083 0.0917
Cs5 0.5917 0.9083 0.7500
Cs6 0.6583 0.4083 0.3165
Cs7 0.9083 0.1583 0.8165
Cs8 0.0917 0.2500 0.4083
Cs9 0.4083 0.0917 0.2500
Cs10 0.7500 0.1583 0.3417
Cs11 0.1583 0.8165 0.9083
Cs12 0.2500 0.8417 0.6583
Cs13 0.1583 0.3417 0.7500
Cs14 0.5917 0.6835 0.3417
Cs15 0.3417 0.5917 0.6835
Cs16 0.3165 0.6583 0.4083
Cs17 0.8417 0.6583 0.2500
Cs18 0.9083 0.7500 0.5917
Cs19 0.1835 0.0917 0.8417
Cs20 0.3417 0.7500 0.1583
Cs21 0.6583 0.2500 0.8417
Cs22 0.4083 0.3165 0.6583
Cs23 0.8165 0.9083 0.1583
Cs24 0.0917 0.8417 0.1835
Cu1 0.5850 0.6525 0.7203
Cu2 0.0850 0.8647 0.4325
Cu3 0.4325 0.3475 0.0678
Cu4 0.3647 0.7797 0.9322
Cu5 0.7203 0.5850 0.6525
Cu6 0.8475 0.9150 0.7797
Cu7 0.3647 0.5850 0.9325
Cu8 0.1353 0.5678 0.7203
Cu9 0.2797 0.4150 0.3475
Cu10 0.9150 0.1353 0.5675
Cu11 0.9150 0.7797 0.8475
Cu12 0.1525 0.0675 0.4322
Cu13 0.5678 0.8475 0.9325
Cu14 0.6525 0.9322 0.5675
Cu15 0.1353 0.5675 0.9150
Cu16 0.6525 0.7203 0.5850
Cu17 0.0678 0.4325 0.3475
Cu18 0.8647 0.4325 0.0850
Cu19 0.3475 0.2797 0.4150
Cu20 0.0675 0.4322 0.1525
Cu21 0.7797 0.9322 0.3647
Cu22 0.8647 0.4322 0.2797
Cu23 0.2797 0.8647 0.4322
Cu24 0.6353 0.4150 0.0675
Cu25 0.9325 0.3647 0.5850
Cu26 0.6353 0.2203 0.0678
Cu27 0.5675 0.6525 0.9322
Cu28 0.9325 0.5678 0.8475
Cu29 0.1525 0.0850 0.2203
Cu30 0.5678 0.7203 0.1353
Cu31 0.7797 0.8475 0.9150
Cu32 0.0850 0.2203 0.1525
Cu33 0.8475 0.9325 0.5678
Cu34 0.4150 0.0675 0.6353
Cu35 0.4325 0.0850 0.8647
Cu36 0.4150 0.3475 0.2797
Cu37 0.3475 0.0678 0.4325
Cu38 0.0678 0.6353 0.2203
Cu39 0.7203 0.1353 0.5678
Cu40 0.9322 0.3647 0.7797
Cu41 0.4322 0.2797 0.8647
Cu42 0.2203 0.1525 0.0850
Cu43 0.2203 0.0678 0.6353
Cu44 0.5675 0.9150 0.1353
Cu45 0.0675 0.6353 0.4150
Cu46 0.4322 0.1525 0.0675
Cu47 0.9322 0.5675 0.6525
Cu48 0.5850 0.9325 0.3647
U1 0.5000 0.0000 0.0000
U2 0.0000 0.0000 0.0000
U3 0.0000 0.5000 0.0000
U4 0.5000 0.5000 0.5000
U5 0.5000 0.0000 0.5000
U6 0.0000 0.0000 0.5000
U7 0.5000 0.5000 0.0000
U8 0.0000 0.5000 0.5000

Values from the calculation:
- SG = No. 230
- total moment (μB/cell) = 0.000
- energy of formation from the pure elements (eV per atom) = -1.06